Computed, not measured: a relaxed LiMnCSO7 crystal at the GGA+U level of DFT.

a = 5.089 Å, b = 6.805 Å, c = 8.707 Å
α = 90.00°, β = 94.74°, γ = 90.00°
Sites, in units of the cell vectors:
Li  0.211  0.000  0.316
Li  0.789  0.500  0.684
Mn  0.227  0.276  0.846
Mn  0.773  0.776  0.154
C  0.281  0.272  0.573
C  0.719  0.772  0.427
S  0.252  0.780  0.917
S  0.748  0.280  0.083
O  0.050  0.282  0.633
O  0.128  0.791  0.067
O  0.159  0.605  0.828
O  0.201  0.957  0.825
O  0.309  0.232  0.437
O  0.455  0.259  0.041
O  0.476  0.301  0.681
O  0.524  0.801  0.319
O  0.545  0.759  0.959
O  0.691  0.732  0.563
O  0.799  0.457  0.175
O  0.841  0.105  0.172
O  0.872  0.291  0.933
O  0.950  0.782  0.367

Properties
* E (MP2020): -0.2702 hartree per atom
* E: -148.777 eV/cell
* DFT formation energy: -1.9813 eV per atom